This record from Materials Project describes crystalline CaAl2H8 at its relaxed geometry. The functional is GGA-PBE.

Cell and atoms, written as CIF:
```
data_CaAl2H8
_chemical_formula_sum 'Ca2 Al4 H16'
_space_group_name_H-M_alt 'P 1'
_space_group_IT_number 1
_cell_length_a 11.8342
_cell_length_b 4.2200
_cell_length_c 4.3715
_cell_angle_alpha 86.23
_cell_angle_beta 90.00
_cell_angle_gamma 90.00
loop_
_space_group_symop_operation_xyz
'x,y,z'
loop_
_atom_site_label
_atom_site_type_symbol
_atom_site_fract_x
_atom_site_fract_y
_atom_site_fract_z
Ca1 Ca 0.5000 0.0000 0.5000
Ca2 Ca 0.0000 0.0000 0.0000
Al1 Al 0.1846 0.6790 0.6252
Al2 Al 0.8154 0.3210 0.3748
Al3 Al 0.6846 0.3210 0.8748
Al4 Al 0.3154 0.6790 0.1252
H1 H 0.1986 0.9085 0.9500
H2 H 0.8014 0.0915 0.0500
H3 H 0.6986 0.0915 0.5500
H4 H 0.3014 0.9085 0.4500
H5 H 0.4071 0.9482 0.9709
H6 H 0.5929 0.0518 0.0291
H7 H 0.9071 0.0518 0.5291
H8 H 0.0929 0.9482 0.4709
H9 H 0.0791 0.4808 0.8192
H10 H 0.9209 0.5192 0.1808
H11 H 0.5791 0.5192 0.6808
H12 H 0.4209 0.4808 0.3192
H13 H 0.2950 0.4588 0.8113
H14 H 0.7050 0.5412 0.1887
H15 H 0.7950 0.5412 0.6887
H16 H 0.2050 0.4588 0.3113
```

Summary:
- formation energy from the elements (eV per formula unit) = -3.1
- total magnetic moment (Bohr magnetons per cell) = 0.000
- calculated total energy (eV/atom) = -3.48
- excess energy over the best structure of this formula in the dataset (eV/atom) = 0.007
- space-group type = No. 14

---

This record from Materials Project describes crystalline CaMg6Mn at its relaxed geometry. The functional is GGA-PBE.

Cell and atoms, written as CIF:
```
data_CaMg6Mn
_chemical_formula_sum 'Ca2 Mg12 Mn2'
_space_group_name_H-M_alt 'P 1'
_space_group_IT_number 1
_cell_length_a 5.1626
_cell_length_b 6.5190
_cell_length_c 11.2004
_cell_angle_alpha 90.00
_cell_angle_beta 90.00
_cell_angle_gamma 90.00
loop_
_space_group_symop_operation_xyz
'x,y,z'
loop_
_atom_site_label
_atom_site_type_symbol
_atom_site_fract_x
_atom_site_fract_y
_atom_site_fract_z
Ca1 Ca 0.0000 0.5000 0.3342
Ca2 Ca 0.0000 0.0000 0.8342
Mg1 Mg 0.0000 0.7470 0.0822
Mg2 Mg 0.0000 0.2530 0.0822
Mg3 Mg 0.5000 0.7366 0.9157
Mg4 Mg 0.5000 0.2634 0.9157
Mg5 Mg 0.5000 0.5000 0.1626
Mg6 Mg 0.5000 0.5000 0.6712
Mg7 Mg 0.0000 0.2470 0.5822
Mg8 Mg 0.0000 0.7530 0.5822
Mg9 Mg 0.5000 0.2366 0.4157
Mg10 Mg 0.5000 0.7634 0.4157
Mg11 Mg 0.5000 0.0000 0.6626
Mg12 Mg 0.5000 0.0000 0.1712
Mn1 Mn 0.0000 0.5000 0.8362
Mn2 Mn 0.0000 0.0000 0.3362
```

Summary:
- formation energy from the elements (eV per formula unit) = 1.1
- total magnetic moment (Bohr magnetons per cell) = 7.695
- calculated total energy (eV/atom) = -2.46
- excess energy over the best structure of this formula in the dataset (eV/atom) = 0.004

---

This record from Materials Project describes crystalline RbMgPO4 at its relaxed geometry. The functional is GGA-PBE.

Cell and atoms, written as CIF:
```
data_RbMgPO4
_chemical_formula_sum 'Rb4 Mg4 P4 O16'
_space_group_name_H-M_alt 'P 1'
_space_group_IT_number 1
_cell_length_a 5.5167
_cell_length_b 8.9202
_cell_length_c 9.9271
_cell_angle_alpha 90.00
_cell_angle_beta 90.00
_cell_angle_gamma 90.00
loop_
_space_group_symop_operation_xyz
'x,y,z'
loop_
_atom_site_label
_atom_site_type_symbol
_atom_site_fract_x
_atom_site_fract_y
_atom_site_fract_z
Rb1 Rb 0.2500 0.0011 0.6811
Rb2 Rb 0.2500 0.5011 0.8189
Rb3 Rb 0.7500 0.9989 0.3189
Rb4 Rb 0.7500 0.4989 0.1811
Mg1 Mg 0.2500 0.3253 0.4185
Mg2 Mg 0.2500 0.8253 0.0815
Mg3 Mg 0.7500 0.6747 0.5815
Mg4 Mg 0.7500 0.1747 0.9185
P1 P 0.7500 0.2874 0.5851
P2 P 0.7500 0.7874 0.9149
P3 P 0.2500 0.7126 0.4149
P4 P 0.2500 0.2126 0.0851
O1 O 0.7500 0.2235 0.7296
O2 O 0.7500 0.7235 0.7704
O3 O 0.2500 0.7765 0.2704
O4 O 0.2500 0.2765 0.2296
O5 O 0.7500 0.4599 0.5885
O6 O 0.7500 0.9599 0.9115
O7 O 0.2500 0.5401 0.4115
O8 O 0.2500 0.0401 0.0885
O9 O 0.9784 0.2286 0.5097
O10 O 0.5216 0.7286 0.9903
O11 O 0.4784 0.7714 0.4903
O12 O 0.0216 0.2714 0.0097
O13 O 0.0216 0.7714 0.4903
O14 O 0.4784 0.2714 0.0097
O15 O 0.5216 0.2286 0.5097
O16 O 0.9784 0.7286 0.9903
```

Summary:
- formation energy from the elements (eV per formula unit) = -20.3
- total magnetic moment (Bohr magnetons per cell) = 0.003
- calculated total energy (eV/atom) = -6.48
- excess energy over the best structure of this formula in the dataset (eV/atom) = 0.010
- space-group type = No. 62

---

This record from Materials Project describes crystalline Cr2Pb3N4 at its relaxed geometry. The functional is GGA-PBE.

Cell and atoms, written as CIF:
```
data_Cr2Pb3N4
_chemical_formula_sum 'Cr8 Pb12 N16'
_space_group_name_H-M_alt 'P 1'
_space_group_IT_number 1
_cell_length_a 6.6865
_cell_length_b 9.9327
_cell_length_c 9.4991
_cell_angle_alpha 90.00
_cell_angle_beta 90.00
_cell_angle_gamma 90.00
loop_
_space_group_symop_operation_xyz
'x,y,z'
loop_
_atom_site_label
_atom_site_type_symbol
_atom_site_fract_x
_atom_site_fract_y
_atom_site_fract_z
Cr1 Cr 0.7500 0.5000 0.7112
Cr2 Cr 0.7500 0.0000 0.7888
Cr3 Cr 0.2500 0.5000 0.2888
Cr4 Cr 0.2500 0.0000 0.2112
Cr5 Cr 0.7393 0.2500 0.7500
Cr6 Cr 0.7607 0.7500 0.7500
Cr7 Cr 0.2607 0.7500 0.2500
Cr8 Cr 0.2393 0.2500 0.2500
Pb1 Pb 0.5996 0.1623 0.4306
Pb2 Pb 0.9004 0.8377 0.4306
Pb3 Pb 0.5996 0.3377 0.0694
Pb4 Pb 0.9004 0.6623 0.0694
Pb5 Pb 0.4004 0.8377 0.5694
Pb6 Pb 0.0996 0.1623 0.5694
Pb7 Pb 0.4004 0.6623 0.9306
Pb8 Pb 0.0996 0.3377 0.9306
Pb9 Pb 0.7500 0.5000 0.3932
Pb10 Pb 0.7500 0.0000 0.1068
Pb11 Pb 0.2500 0.5000 0.6068
Pb12 Pb 0.2500 0.0000 0.8932
N1 N 0.8887 0.3575 0.6253
N2 N 0.6113 0.6425 0.6253
N3 N 0.8887 0.1425 0.8747
N4 N 0.6113 0.8575 0.8747
N5 N 0.1113 0.6425 0.3747
N6 N 0.3887 0.3575 0.3747
N7 N 0.1113 0.8575 0.1253
N8 N 0.3887 0.1425 0.1253
N9 N 0.5907 0.3911 0.8163
N10 N 0.9093 0.6089 0.8163
N11 N 0.5907 0.1089 0.6837
N12 N 0.9093 0.8911 0.6837
N13 N 0.4093 0.6089 0.1837
N14 N 0.0907 0.3911 0.1837
N15 N 0.4093 0.8911 0.3163
N16 N 0.0907 0.1089 0.3163
```

Summary:
- formation energy from the elements (eV per formula unit) = 0.1
- total magnetic moment (Bohr magnetons per cell) = 0.042
- calculated total energy (eV/atom) = -6.91
- excess energy over the best structure of this formula in the dataset (eV/atom) = 0.085
- space-group type = No. 52

---

This record from Materials Project describes crystalline CdRe2N4O8 at its relaxed geometry. The functional is GGA-PBE.

Cell and atoms, written as CIF:
```
data_CdRe2N4O8
_chemical_formula_sum 'Cd1 Re2 N4 O8'
_space_group_name_H-M_alt 'P 1'
_space_group_IT_number 1
_cell_length_a 7.4710
_cell_length_b 7.4710
_cell_length_c 7.4710
_cell_angle_alpha 60.00
_cell_angle_beta 60.00
_cell_angle_gamma 60.00
loop_
_space_group_symop_operation_xyz
'x,y,z'
loop_
_atom_site_label
_atom_site_type_symbol
_atom_site_fract_x
_atom_site_fract_y
_atom_site_fract_z
Cd1 Cd 0.5000 0.5000 0.5000
Re1 Re 0.0000 0.0000 0.0000
Re2 Re 0.2500 0.2500 0.2500
N1 N 0.6271 0.6271 0.1188
N2 N 0.6271 0.1188 0.6271
N3 N 0.1188 0.6271 0.6271
N4 N 0.6271 0.6271 0.6271
O1 O 0.9035 0.9035 0.2896
O2 O 0.9035 0.2896 0.9035
O3 O 0.2896 0.9035 0.9035
O4 O 0.9035 0.9035 0.9035
O5 O 0.1541 0.1541 0.5378
O6 O 0.1541 0.5378 0.1541
O7 O 0.5378 0.1541 0.1541
O8 O 0.1541 0.1541 0.1541
```

Summary:
- formation energy from the elements (eV per formula unit) = 1.6
- total magnetic moment (Bohr magnetons per cell) = 9.999
- calculated total energy (eV/atom) = -6.11
- space-group type = No. 216

---

This record from Materials Project describes crystalline Na2UI6 at its relaxed geometry. The functional is GGA-PBE.

Cell and atoms, written as CIF:
```
data_Na2UI6
_chemical_formula_sum 'Na6 U3 I18'
_space_group_name_H-M_alt 'P 1'
_space_group_IT_number 1
_cell_length_a 7.9605
_cell_length_b 8.7606
_cell_length_c 19.8106
_cell_angle_alpha 94.58
_cell_angle_beta 89.92
_cell_angle_gamma 116.96
loop_
_space_group_symop_operation_xyz
'x,y,z'
loop_
_atom_site_label
_atom_site_type_symbol
_atom_site_fract_x
_atom_site_fract_y
_atom_site_fract_z
Na1 Na 0.6668 0.3296 0.8359
Na2 Na 0.7565 0.5098 0.5607
Na3 Na 0.9159 0.8292 0.7728
Na4 Na 0.0876 0.1751 0.2270
Na5 Na 0.2455 0.4908 0.4389
Na6 Na 0.5756 0.1547 0.1040
U1 U 0.0027 0.9973 0.9997
U2 U 0.3282 0.6673 0.6674
U3 U 0.6667 0.3332 0.3332
I1 I 0.6352 0.9885 0.7461
I2 I 0.7975 0.2066 0.9673
I3 I 0.2276 0.1171 0.8725
I4 I 0.1053 0.5580 0.7946
I5 I 0.5456 0.4609 0.7012
I6 I 0.9636 0.6518 0.4140
I7 I 0.7025 0.6841 0.9172
I8 I 0.1216 0.8732 0.6321
I9 I 0.5611 0.7758 0.5407
I10 I 0.4387 0.2214 0.4593
I11 I 0.8746 0.1297 0.3674
I12 I 0.2972 0.3187 0.0810
I13 I 0.0342 0.3459 0.5849
I14 I 0.4590 0.5371 0.2994
I15 I 0.8944 0.4454 0.2076
I16 I 0.7707 0.8897 0.1261
I17 I 0.2093 0.8008 0.0325
I18 I 0.3698 0.0148 0.2531
```

Summary:
- formation energy from the elements (eV per formula unit) = -11.5
- total magnetic moment (Bohr magnetons per cell) = 6.008
- calculated total energy (eV/atom) = -3.59
- excess energy over the best structure of this formula in the dataset (eV/atom) = 0.024
- space-group type = No. 1

---

This record from Materials Project describes crystalline NaRuN2 at its relaxed geometry. The functional is GGA-PBE.

Cell and atoms, written as CIF:
```
data_NaRuN2
_chemical_formula_sum 'Na16 Ru16 N32'
_space_group_name_H-M_alt 'P 1'
_space_group_IT_number 1
_cell_length_a 5.5269
_cell_length_b 11.0804
_cell_length_c 15.2795
_cell_angle_alpha 90.00
_cell_angle_beta 90.00
_cell_angle_gamma 90.00
loop_
_space_group_symop_operation_xyz
'x,y,z'
loop_
_atom_site_label
_atom_site_type_symbol
_atom_site_fract_x
_atom_site_fract_y
_atom_site_fract_z
Na1 Na 0.2771 0.0006 0.4454
Na2 Na 0.7771 0.4994 0.5546
Na3 Na 0.7229 0.5006 0.0546
Na4 Na 0.2229 0.9994 0.9454
Na5 Na 0.7229 0.9994 0.5546
Na6 Na 0.2229 0.5006 0.4454
Na7 Na 0.2771 0.4994 0.9454
Na8 Na 0.7771 0.0006 0.0546
Na9 Na 0.2468 0.2724 0.3168
Na10 Na 0.7468 0.2276 0.6832
Na11 Na 0.7532 0.7724 0.1832
Na12 Na 0.2532 0.7276 0.8168
Na13 Na 0.7532 0.7276 0.6832
Na14 Na 0.2532 0.7724 0.3168
Na15 Na 0.2468 0.2276 0.8168
Na16 Na 0.7468 0.2724 0.1832
Ru1 Ru 0.7807 0.0161 0.3089
Ru2 Ru 0.2807 0.4839 0.6911
Ru3 Ru 0.2193 0.5161 0.1911
Ru4 Ru 0.7193 0.9839 0.8089
Ru5 Ru 0.2193 0.9839 0.6911
Ru6 Ru 0.7193 0.5161 0.3089
Ru7 Ru 0.7807 0.4839 0.8089
Ru8 Ru 0.2807 0.0161 0.1911
Ru9 Ru 0.7347 0.2709 0.4332
Ru10 Ru 0.2347 0.2291 0.5668
Ru11 Ru 0.2653 0.7709 0.0668
Ru12 Ru 0.7653 0.7291 0.9332
Ru13 Ru 0.2653 0.7291 0.5668
Ru14 Ru 0.7653 0.7709 0.4332
Ru15 Ru 0.7347 0.2291 0.9332
Ru16 Ru 0.2347 0.2709 0.0668
N1 N 0.0051 0.3170 0.5027
N2 N 0.5051 0.1830 0.4973
N3 N 0.9949 0.8170 0.9973
N4 N 0.4949 0.6830 0.0027
N5 N 0.9949 0.6830 0.4973
N6 N 0.4949 0.8170 0.5027
N7 N 0.0051 0.1830 0.0027
N8 N 0.5051 0.3170 0.9973
N9 N 0.5940 0.4178 0.3989
N10 N 0.0940 0.0822 0.6011
N11 N 0.4060 0.9178 0.1011
N12 N 0.9060 0.5822 0.8989
N13 N 0.4060 0.5822 0.6011
N14 N 0.9060 0.9178 0.3989
N15 N 0.5940 0.0822 0.8989
N16 N 0.0940 0.4178 0.1011
N17 N 0.8165 0.1816 0.3323
N18 N 0.3165 0.3184 0.6677
N19 N 0.1835 0.6816 0.1677
N20 N 0.6835 0.8184 0.8323
N21 N 0.1835 0.8184 0.6677
N22 N 0.6835 0.6816 0.3323
N23 N 0.8165 0.3184 0.8323
N24 N 0.3165 0.1816 0.1677
N25 N 0.5497 0.4780 0.2053
N26 N 0.0497 0.0220 0.7947
N27 N 0.4503 0.9780 0.2947
N28 N 0.9503 0.5220 0.7053
N29 N 0.4503 0.5220 0.7947
N30 N 0.9503 0.9780 0.2053
N31 N 0.5497 0.0220 0.7053
N32 N 0.0497 0.4780 0.2947
```

Summary:
- formation energy from the elements (eV per formula unit) = -0.1
- total magnetic moment (Bohr magnetons per cell) = 0.002
- calculated total energy (eV/atom) = -6.66
- space-group type = No. 61

---

This record from Materials Project describes crystalline Li8Pb3 at its relaxed geometry. The functional is GGA-PBE.

Cell and atoms, written as CIF:
```
data_Li8Pb3
_chemical_formula_sum 'Li8 Pb3'
_space_group_name_H-M_alt 'P 1'
_space_group_IT_number 1
_cell_length_a 11.1007
_cell_length_b 11.1007
_cell_length_c 11.1007
_cell_angle_alpha 24.79
_cell_angle_beta 24.79
_cell_angle_gamma 24.79
loop_
_space_group_symop_operation_xyz
'x,y,z'
loop_
_atom_site_label
_atom_site_type_symbol
_atom_site_fract_x
_atom_site_fract_y
_atom_site_fract_z
Li1 Li 0.9110 0.9110 0.9110
Li2 Li 0.0890 0.0890 0.0890
Li3 Li 0.8207 0.8207 0.8207
Li4 Li 0.3616 0.3616 0.3616
Li5 Li 0.6384 0.6384 0.6384
Li6 Li 0.2728 0.2728 0.2728
Li7 Li 0.7272 0.7272 0.7272
Li8 Li 0.1793 0.1793 0.1793
Pb1 Pb 0.5473 0.5473 0.5473
Pb2 Pb 0.4527 0.4527 0.4527
Pb3 Pb 0.0000 0.0000 0.0000
```

Summary:
- formation energy from the elements (eV per formula unit) = -3.6
- calculated total energy (eV/atom) = -2.73
- space-group type = No. 166